(1)
DFT (GGA-PBE) results for NaH4C3N3O4 after structural relaxation.

The structure in CIF format:
```
data_NaH4C3N3O4
_chemical_formula_sum 'Na2 H8 C6 N6 O8'
_space_group_name_H-M_alt 'P -1'
_space_group_IT_number 2
_space_group_name_Hall '-P 1'
_cell_length_a 3.882
_cell_length_b 9.137
_cell_length_c 9.358
_cell_angle_alpha 91.52
_cell_angle_beta 95.52
_cell_angle_gamma 91.21
loop_
_atom_site_label
_atom_site_fract_x
_atom_site_fract_y
_atom_site_fract_z
Na1 0.157 0.380 0.361
H1 0.083 0.883 0.486
H2 0.366 0.048 0.108
H3 0.422 0.650 0.877
H4 0.439 0.488 0.813
C1 0.207 0.991 0.305
C2 0.258 0.728 0.344
C3 0.399 0.820 0.126
N1 0.174 0.870 0.386
N2 0.323 0.962 0.175
N3 0.372 0.706 0.214
O1 0.133 0.116 0.349
O2 0.224 0.629 0.433
O3 0.380 0.589 0.788
O4 0.495 0.807 0.002
```

(2)
DFT (GGA-PBE) results for NaPH6C2N4O4 after structural relaxation.

The structure in CIF format:
```
data_NaPH6C2N4O4
_chemical_formula_sum 'Na4 P4 H24 C8 N16 O16'
_space_group_name_H-M_alt 'C 1 2/c 1'
_space_group_IT_number 15
_space_group_name_Hall '-C 2yc'
_cell_length_a 8.952
_cell_length_b 12.099
_cell_length_c 7.280
_cell_angle_alpha 90.00
_cell_angle_beta 102.26
_cell_angle_gamma 90.00
loop_
_atom_site_label
_atom_site_fract_x
_atom_site_fract_y
_atom_site_fract_z
Na1 0.000 0.000 0.000
P1 0.000 0.250 0.250
H1 0.073 0.309 0.928
H2 0.179 0.418 0.856
H3 0.222 0.346 0.403
C1 0.204 0.398 0.138
N1 0.136 0.379 0.957
N2 0.155 0.335 0.272
O1 0.022 0.191 0.436
O2 0.194 0.029 0.813
```

(3)
DFT (GGA-PBE) results for NaPH3C2N3O4 after structural relaxation.

The structure in CIF format:
```
data_NaPH3C2N3O4
_chemical_formula_sum 'Na4 P4 H12 C8 N12 O16'
_space_group_name_H-M_alt 'P 1 21/c 1'
_space_group_IT_number 14
_space_group_name_Hall '-P 2ybc'
_cell_length_a 6.976
_cell_length_b 12.472
_cell_length_c 8.637
_cell_angle_alpha 90.00
_cell_angle_beta 127.30
_cell_angle_gamma 90.00
loop_
_atom_site_label
_atom_site_fract_x
_atom_site_fract_y
_atom_site_fract_z
Na1 0.148 0.053 0.398
P1 0.321 0.579 0.616
H1 0.049 0.692 0.614
H2 0.320 0.075 0.856
H3 0.437 0.620 0.012
C1 0.226 0.704 0.060
C2 0.408 0.231 0.901
N1 0.187 0.697 0.602
N2 0.417 0.694 0.053
N3 0.435 0.130 0.861
O1 0.104 0.623 0.032
O2 0.171 0.517 0.429
O3 0.235 0.240 0.400
O4 0.405 0.525 0.804
```

(4)
DFT (GGA-PBE) results for NaPH3C2N3O4 after structural relaxation.

The structure in CIF format:
```
data_NaPH3C2N3O4
_chemical_formula_sum 'Na4 P4 H12 C8 N12 O16'
_space_group_name_H-M_alt 'P 1 21/c 1'
_space_group_IT_number 14
_space_group_name_Hall '-P 2ybc'
_cell_length_a 7.264
_cell_length_b 12.665
_cell_length_c 9.460
_cell_angle_alpha 90.00
_cell_angle_beta 130.10
_cell_angle_gamma 90.00
loop_
_atom_site_label
_atom_site_fract_x
_atom_site_fract_y
_atom_site_fract_z
Na1 0.199 0.034 0.383
P1 0.343 0.576 0.606
H1 0.172 0.734 0.818
H2 0.298 0.718 0.865
H3 0.328 0.090 0.899
C1 0.223 0.699 0.067
C2 0.385 0.236 0.830
N1 0.230 0.698 0.599
N2 0.427 0.132 0.874
N3 0.467 0.725 0.212
O1 0.092 0.622 0.997
O2 0.179 0.517 0.427
O3 0.234 0.206 0.311
O4 0.436 0.527 0.786
```

(5)
DFT (GGA-PBE) results for NaPH5C2SN3O4 after structural relaxation.

The structure in CIF format:
```
data_NaPH5C2SN3O4
_chemical_formula_sum 'Na2 P2 H10 C4 S2 N6 O8'
_space_group_name_H-M_alt 'P -1'
_space_group_IT_number 2
_space_group_name_Hall '-P 1'
_cell_length_a 5.926
_cell_length_b 7.044
_cell_length_c 10.221
_cell_angle_alpha 90.15
_cell_angle_beta 98.81
_cell_angle_gamma 103.04
loop_
_atom_site_label
_atom_site_fract_x
_atom_site_fract_y
_atom_site_fract_z
Na1 0.021 0.328 0.299
P1 0.467 0.245 0.724
H1 0.061 0.864 0.976
H2 0.333 0.678 0.504
H3 0.411 0.418 0.908
H4 0.416 0.592 0.636
H5 0.496 0.918 0.683
C1 0.264 0.988 0.152
C2 0.319 0.711 0.019
S1 0.140 0.179 0.640
N1 0.201 0.851 0.048
N2 0.431 0.962 0.252
N3 0.499 0.686 0.112
O1 0.170 0.132 0.149
O2 0.259 0.618 0.910
O3 0.334 0.693 0.601
O4 0.361 0.602 0.339
```

(6)
DFT (GGA-PBE) results for Na4ZnP3H32C3NO22 after structural relaxation.

The structure in CIF format:
```
data_Na4ZnP3H32C3NO22
_chemical_formula_sum 'Na8 Zn2 P6 H64 C6 N2 O44'
_space_group_name_H-M_alt 'P -1'
_space_group_IT_number 2
_space_group_name_Hall '-P 1'
_cell_length_a 11.245
_cell_length_b 11.385
_cell_length_c 12.523
_cell_angle_alpha 109.01
_cell_angle_beta 97.13
_cell_angle_gamma 117.17
loop_
_atom_site_label
_atom_site_fract_x
_atom_site_fract_y
_atom_site_fract_z
Na1 0.017 0.417 0.307
Na2 0.173 0.547 0.088
Na3 0.240 0.529 0.812
Na4 0.383 0.814 0.474
Zn1 0.077 0.106 0.639
P1 0.052 0.789 0.183
P2 0.129 0.240 0.434
P3 0.323 0.152 0.816
H1 0.028 0.923 0.072
H2 0.081 0.708 0.366
H3 0.082 0.690 0.482
H4 0.098 0.686 0.962
H5 0.107 0.187 0.224
H6 0.137 0.214 0.933
H7 0.139 0.901 0.745
H8 0.149 0.497 0.572
H9 0.169 0.998 0.899
H10 0.185 0.106 0.283
H11 0.233 0.752 0.920
H12 0.241 0.382 0.185
H13 0.255 0.671 0.650
H14 0.287 0.523 0.294
H15 0.302 0.001 0.419
H16 0.302 0.826 0.259
H17 0.310 0.019 0.189
H18 0.334 0.076 0.559
H19 0.337 0.431 0.961
H20 0.353 0.294 0.063
H21 0.354 0.424 0.640
H22 0.356 0.162 0.164
H23 0.371 0.518 0.469
H24 0.372 0.366 0.733
H25 0.388 0.930 0.720
H26 0.432 0.814 0.238
H27 0.435 0.599 0.023
H28 0.441 0.396 0.198
H29 0.468 0.843 0.030
H30 0.472 0.852 0.721
H31 0.479 0.864 0.913
H32 0.483 0.361 0.526
C1 0.029 0.126 0.874
C2 0.099 0.126 0.279
C3 0.158 0.004 0.813
N1 0.036 0.017 0.775
O1 0.029 0.657 0.077
O2 0.030 0.257 0.731
O3 0.047 0.317 0.438
O4 0.068 0.121 0.483
O5 0.125 0.679 0.417
O6 0.129 0.680 0.890
O7 0.181 0.579 0.650
O8 0.205 0.445 0.222
O9 0.209 0.908 0.253
O10 0.282 0.165 0.699
O11 0.290 0.348 0.492
O12 0.333 0.521 0.989
O13 0.346 0.307 0.144
O14 0.347 0.768 0.261
O15 0.369 0.037 0.498
O16 0.373 0.293 0.928
O17 0.381 0.090 0.166
O18 0.387 0.840 0.671
O19 0.389 0.457 0.728
O20 0.412 0.807 0.947
O21 0.416 0.606 0.454
O22 0.430 0.103 0.818
```

Formation enthalpy at 0 K (computed, eV per atom): -1.0380, -1.0434, -1.2193, -0.8400, -1.0557, -1.3847
E (computed, eV for the cell shown): -200.40, -458.88, -377.98, -356.74, -211.58, -705.03